No. 1
Crystalline LiVFeP4O14 at its relaxed geometry. Source: the Materials Project, functional PBE+U.

Structure (POSCAR):
```
LiVFeP4O14
1.0
7.161 0.000 0.000
0.009 8.091 0.000
1.727 0.041 13.596
O Li Fe P V
42 3 3 12 3
Cartesian
4.213 7.558 5.982
2.187 1.450 5.461
7.442 2.870 7.888
0.714 2.689 0.883
8.244 6.661 12.722
4.261 2.774 9.959
6.029 0.362 12.244
5.085 5.243 0.720
2.351 7.559 10.514
2.941 3.581 12.147
7.537 1.524 9.997
2.417 0.337 3.146
5.713 5.572 5.685
3.163 6.855 1.144
1.481 5.258 9.766
2.883 6.702 8.182
6.752 6.917 10.155
2.832 4.348 1.336
6.614 3.540 3.095
3.975 1.454 0.925
3.772 1.254 12.894
3.277 5.264 5.253
3.897 5.540 10.167
7.771 0.352 7.705
3.165 1.589 8.017
4.682 6.674 3.642
6.738 5.472 8.094
1.398 5.471 3.575
6.019 7.545 1.448
2.094 2.849 3.371
7.384 1.215 3.851
1.358 6.877 5.695
4.926 5.421 12.649
4.802 3.553 7.633
1.019 4.367 5.849
5.573 1.237 8.395
5.669 2.854 12.373
6.432 4.396 10.414
0.359 5.549 1.177
8.507 1.657 12.473
4.976 1.568 3.461
6.054 2.724 5.408
1.443 6.997 2.262
7.453 2.957 11.315
6.786 7.012 6.804
2.527 0.089 6.878
7.801 8.077 11.393
4.315 0.088 2.319
7.167 1.491 8.520
1.825 1.462 3.998
7.070 5.544 9.606
2.704 6.354 9.651
5.385 1.477 13.040
6.201 2.312 3.926
4.496 6.330 5.107
6.309 6.307 0.595
1.698 5.509 5.097
3.504 5.484 0.563
2.601 2.338 12.996
4.388 2.337 8.485
6.461 4.027 6.728
1.129 4.006 2.213
4.611 4.136 11.273
```

Results
As for the space-group type: P1 (1). The crystal system is triclinic. As for the formation energy: -2.566 eV per atom. The magnetic moment is 6.00 μB per formula unit. As for the distance to the lowest polymorph of the same formula: 0.055 eV per formula unit.

***

No. 2
Crystalline LiVFeP4O14 at its relaxed geometry. Source: the Materials Project, functional PBE+U.

Structure (POSCAR):
```
LiVFeP4O14
1.0
-8.310 -3.757 -3.486
-9.749 -3.493 13.362
-4.895 5.084 -1.287
Li O V Fe P
4 56 4 4 16
Cartesian
-8.840 -1.432 -0.306
-14.751 -0.909 10.602
-7.795 1.780 4.791
-11.622 -2.248 7.241
-15.056 -1.606 8.730
-9.503 -0.816 -3.272
-18.390 -1.043 7.619
-3.274 1.469 0.480
-15.641 -0.291 0.098
-14.154 -2.404 1.836
-5.331 1.710 2.864
-10.229 -1.238 6.344
-12.811 -1.337 11.123
-8.510 -2.791 4.612
-17.435 -6.026 8.667
-7.822 -1.423 2.547
-15.462 -5.470 10.416
-15.464 0.295 6.748
-6.353 -1.453 4.646
-11.773 0.243 -3.052
-11.275 -3.641 12.188
-14.266 0.778 9.405
-5.397 1.116 -1.536
-12.277 -0.816 1.125
-16.422 -2.838 6.961
-13.514 -1.705 6.483
-12.260 -1.053 8.666
-14.767 -4.088 8.351
-13.303 -4.142 10.451
-6.618 0.968 0.691
-12.638 -4.701 2.892
-11.425 1.637 1.830
-12.304 -1.618 4.285
-8.483 2.960 0.936
-12.666 1.124 -0.793
-10.080 1.793 -0.612
-7.073 -1.848 7.523
-19.250 -3.506 6.951
-10.486 -3.340 2.853
-9.938 -0.523 3.639
-14.576 -0.564 4.491
-19.595 -1.578 5.012
-14.387 -3.100 4.548
-17.021 -0.888 5.140
-4.276 -1.041 -0.017
-7.649 2.104 -1.326
-10.447 1.295 6.233
-16.870 -3.198 9.456
-8.403 -2.863 -1.687
-10.656 -2.248 10.107
-12.010 -3.302 0.806
-8.128 1.069 2.932
-9.455 -0.228 1.145
-11.206 -3.674 5.871
-8.195 0.308 6.017
-7.436 -0.435 -1.212
-5.900 3.694 1.078
-10.703 -0.897 -1.059
-12.870 1.008 6.951
-9.407 0.170 8.256
-18.073 -2.219 6.111
-11.163 0.491 0.299
-6.941 2.356 1.961
-13.930 -0.304 7.769
-6.275 -0.436 6.377
-17.367 -4.923 10.322
-3.473 0.365 -1.169
-10.415 -2.244 4.521
-13.654 -1.836 4.925
-11.464 -4.186 2.059
-15.850 -2.908 8.376
-13.078 -2.101 0.798
-9.520 0.056 6.731
-6.730 0.862 -0.843
-10.845 -1.029 -2.607
-13.011 0.900 -2.284
-10.098 -3.118 11.365
-14.249 -4.998 9.622
-15.834 0.073 5.255
-7.293 -2.316 3.825
-11.715 -1.032 10.113
-8.896 -0.230 2.584
-8.893 2.777 -0.540
-11.664 1.993 7.027
```

Results
As for the space-group type: P1 (1). The crystal system is triclinic. As for the formation energy: -2.565 eV per atom. The magnetic moment is 6.00 μB per formula unit. As for the distance to the lowest polymorph of the same formula: 0.069 eV per formula unit.

***

No. 3
Crystalline Li4VFe3P4O16 at its relaxed geometry. Source: the Materials Project, functional PBE+U.

Structure (POSCAR):
```
Li4VFe3P4O16
1.0
-4.610 -3.831 1.188
-0.359 -1.004 -4.631
6.822 -7.849 1.158
O Fe Li P V
16 3 4 4 1
Cartesian
-2.650 -4.640 -0.178
0.359 -5.323 -0.058
0.633 -4.557 -2.893
0.396 -1.506 -3.321
0.094 -2.360 -0.885
2.210 -9.971 -1.534
3.762 -9.265 0.436
4.066 -8.428 -2.012
6.427 -7.809 -0.247
3.526 -6.214 0.017
3.045 -3.796 -0.426
-2.259 -2.969 -2.622
-1.236 -6.110 -2.411
1.115 -6.975 -2.452
3.796 -5.443 -2.822
0.786 -8.492 0.723
2.595 -7.587 1.319
-0.989 -4.103 -1.353
1.566 -3.184 -4.189
-0.226 -7.294 -0.847
2.073 -5.384 -1.440
5.308 -9.809 -3.173
3.004 -11.724 -2.580
3.665 -9.612 -1.060
4.024 -4.746 0.311
0.496 -1.163 -1.826
0.130 -6.019 -3.188
5.119 -6.623 -1.494
```

Results
As for the space-group type: Pm (6). The crystal system is monoclinic. As for the formation energy: -2.517 eV per atom. The magnetic moment is 15.00 μB per formula unit.

***

No. 4
Crystalline Li2VFeP4O14 at its relaxed geometry. Source: the Materials Project, functional PBE+U.

Structure (POSCAR):
```
Li2VFeP4O14
1.0
-2.270 0.022 6.665
9.793 -0.020 0.023
-0.017 8.261 0.021
O P Li Fe V
28 8 4 2 2
Cartesian
0.576 5.611 4.057
6.089 1.257 5.048
7.703 4.453 3.479
4.715 0.310 3.227
1.193 1.266 5.037
5.742 3.572 6.143
0.045 2.846 3.399
4.941 2.836 3.410
2.561 6.989 3.295
-1.342 5.781 5.917
3.187 2.683 5.709
6.661 7.703 0.614
1.405 5.398 1.668
5.472 5.600 4.067
3.959 1.595 0.789
6.301 5.388 1.679
1.765 7.713 0.603
6.940 1.469 2.656
9.210 6.813 1.002
8.854 1.587 0.800
3.555 5.772 5.927
0.844 3.580 6.133
-1.710 2.692 5.696
2.806 4.463 3.468
7.458 6.978 3.305
4.312 6.824 0.990
-0.182 0.321 3.216
2.043 1.480 2.645
5.741 6.476 0.603
6.746 5.622 3.212
0.845 6.486 0.592
6.653 2.339 6.119
5.663 1.483 3.500
1.756 2.348 6.109
1.850 5.633 3.201
0.767 1.493 3.489
4.231 7.113 4.499
-0.666 7.123 4.488
3.267 2.979 2.211
8.164 2.968 2.222
3.219 8.257 1.812
8.116 8.245 1.824
-0.611 4.138 4.876
4.286 4.128 4.885
```

Results
As for the formation energy: -2.629 eV per atom. The magnetic moment is 0.00 μB per formula unit.